A plane-wave DFT calculation with PBE with a Hubbard U was carried out for a relaxed structure of Fe5O2F8.

Energy relative to the elements (eV per atom): -2.3263
Energy relative to the lowest polymorph listed for this composition (meV per atom): 5.9
Space group: P1, No. 1
V (A^3/atom): 12.386

Geometry as POSCAR:
```
Fe5O2F8
1.0
4.821 0.000 0.000
-0.019 8.033 0.000
-0.032 -3.275 9.594
Fe O F
10 4 16
direct
0.000 0.000 0.000
0.001 0.606 0.808
0.019 0.380 0.206
0.020 0.213 0.620
0.064 0.793 0.407
0.517 0.699 0.121
0.518 0.080 0.312
0.546 0.291 0.924
0.548 0.889 0.717
0.552 0.490 0.518
0.331 0.849 0.303
0.837 0.217 0.029
0.838 0.828 0.835
0.847 0.431 0.642
0.221 0.962 0.597
0.226 0.748 0.983
0.227 0.557 0.403
0.230 0.355 0.795
0.235 0.133 0.179
0.322 0.049 0.890
0.325 0.247 0.500
0.325 0.650 0.695
0.327 0.456 0.099
0.730 0.323 0.335
0.735 0.135 0.725
0.741 0.540 0.938
0.746 0.738 0.524
0.756 0.928 0.135
0.838 0.638 0.244
0.848 0.038 0.445
```

A plane-wave DFT calculation with PBE with a Hubbard U was carried out for a relaxed structure of Fe6O5F7.

Energy relative to the elements (eV per atom): -2.1031
Piezoelectric modulus e_max (C/m²): 0.35
Energy relative to the lowest polymorph listed for this composition (meV per atom): 8.9
Space group: Amm2, No. 38
V (A^3/atom): 11.778

Geometry as POSCAR:
```
Fe6O5F7
1.0
9.254 0.000 0.000
0.000 3.535 3.240
0.000 -3.535 3.240
Fe O F
6 5 7
direct
0.000 0.000 0.000
0.168 0.496 0.496
0.325 0.991 0.991
0.500 0.526 0.526
0.675 0.991 0.991
0.832 0.496 0.496
0.163 0.796 0.796
0.167 0.199 0.199
0.500 0.832 0.832
0.833 0.199 0.199
0.837 0.796 0.796
0.000 0.306 0.688
0.000 0.688 0.306
0.328 0.302 0.702
0.328 0.702 0.302
0.500 0.210 0.210
0.672 0.302 0.702
0.672 0.702 0.302
```

A plane-wave DFT calculation with PBE with a Hubbard U was carried out for a relaxed structure of Fe5O8F2.

Energy relative to the elements (eV per atom): -1.5762
Energy relative to the lowest polymorph listed for this composition (meV per atom): 6.8
Space group: P1, No. 1
V (A^3/atom): 10.718

Geometry as POSCAR:
```
Fe5O8F2
1.0
4.626 0.000 0.000
0.281 7.600 0.000
0.521 3.263 9.147
Fe O F
10 16 4
direct
0.000 0.000 0.000
0.001 0.611 0.198
0.012 0.214 0.404
0.466 0.300 0.087
0.468 0.098 0.688
0.476 0.902 0.289
0.494 0.503 0.499
0.516 0.710 0.906
0.982 0.400 0.793
0.987 0.802 0.597
0.165 0.241 0.965
0.180 0.035 0.573
0.181 0.451 0.370
0.191 0.845 0.173
0.287 0.339 0.671
0.295 0.941 0.872
0.296 0.144 0.272
0.297 0.540 0.074
0.298 0.746 0.474
0.678 0.067 0.115
0.678 0.263 0.517
0.681 0.463 0.918
0.684 0.864 0.719
0.689 0.668 0.321
0.803 0.565 0.624
0.809 0.766 0.024
0.189 0.641 0.778
0.779 0.160 0.812
0.794 0.364 0.219
0.796 0.970 0.414
```

A plane-wave DFT calculation with PBE with a Hubbard U was carried out for a relaxed structure of Fe4OF7.

Energy relative to the elements (eV per atom): -2.4118
Energy relative to the lowest polymorph listed for this composition (meV per atom): 6.6
Space group: Cmc2_1, No. 36
V (A^3/atom): 12.512

Geometry as POSCAR:
```
Fe4OF7
1.0
3.269 -6.873 0.000
3.269 6.873 0.000
0.000 0.000 6.683
Fe O F
8 2 14
direct
0.116 0.366 0.534
0.125 0.875 0.500
0.366 0.116 0.034
0.374 0.626 0.032
0.626 0.374 0.532
0.634 0.884 0.534
0.875 0.125 0.000
0.884 0.634 0.034
0.125 0.875 0.227
0.875 0.125 0.727
0.015 0.459 0.027
0.126 0.874 0.805
0.212 0.269 0.027
0.269 0.212 0.527
0.375 0.625 0.333
0.375 0.625 0.731
0.459 0.015 0.527
0.541 0.985 0.027
0.625 0.375 0.231
0.625 0.375 0.833
0.731 0.788 0.027
0.788 0.731 0.527
0.874 0.126 0.305
0.985 0.541 0.527
```

A plane-wave DFT calculation with PBE with a Hubbard U was carried out for a relaxed structure of Fe6O5F7.

Energy relative to the elements (eV per atom): -2.0931
Energy relative to the lowest polymorph listed for this composition (meV per atom): 18.9
Space group: Pm, No. 6
V (A^3/atom): 11.742

Geometry as POSCAR:
```
Fe6O5F7
1.0
4.777 0.000 0.000
0.000 9.255 0.000
-0.265 0.000 4.780
Fe O F
6 5 7
direct
0.000 0.000 0.000
0.426 0.151 0.491
0.426 0.849 0.491
0.463 0.500 0.510
0.963 0.342 0.015
0.963 0.658 0.015
0.142 0.173 0.186
0.142 0.827 0.186
0.159 0.500 0.211
0.252 0.000 0.703
0.757 0.500 0.809
0.259 0.336 0.700
0.259 0.664 0.700
0.648 0.334 0.313
0.648 0.666 0.313
0.669 0.000 0.286
0.751 0.170 0.795
0.751 0.830 0.795
```

A plane-wave DFT calculation with PBE with a Hubbard U was carried out for a relaxed structure of Fe6O5F7.

Energy relative to the elements (eV per atom): -2.0934
Energy relative to the lowest polymorph listed for this composition (meV per atom): 18.6
Space group: P1, No. 1
V (A^3/atom): 11.719

Geometry as POSCAR:
```
Fe6O5F7
1.0
4.692 0.000 0.000
0.092 5.657 0.000
0.015 0.510 7.948
Fe O F
6 5 7
direct
0.000 0.000 0.000
0.010 0.667 0.326
0.046 0.337 0.616
0.492 0.158 0.284
0.529 0.497 0.974
0.578 0.825 0.663
0.229 0.369 0.405
0.321 0.189 0.068
0.737 0.804 0.878
0.823 0.956 0.221
0.832 0.624 0.543
0.220 0.700 0.092
0.235 0.035 0.728
0.327 0.539 0.734
0.334 0.868 0.420
0.724 0.126 0.546
0.734 0.451 0.213
0.847 0.292 0.856
```

A plane-wave DFT calculation with PBE with a Hubbard U was carried out for a relaxed structure of Fe10O11F9.

Energy relative to the elements (eV per atom): -1.9612
Energy relative to the lowest polymorph listed for this composition (meV per atom): 3.1
Space group: Pm, No. 6
V (A^3/atom): 11.468

Geometry as POSCAR:
```
Fe10O11F9
1.0
4.737 0.000 0.000
0.000 15.329 0.000
-0.187 0.000 4.738
Fe O F
10 11 9
direct
0.000 0.000 0.000
0.021 0.398 0.970
0.021 0.602 0.970
0.035 0.192 0.979
0.035 0.808 0.979
0.450 0.301 0.483
0.450 0.699 0.483
0.501 0.104 0.506
0.501 0.896 0.506
0.512 0.500 0.545
0.184 0.298 0.168
0.184 0.702 0.168
0.200 0.093 0.193
0.200 0.907 0.193
0.308 0.198 0.676
0.308 0.802 0.676
0.309 0.400 0.687
0.309 0.600 0.687
0.811 0.094 0.803
0.811 0.906 0.803
0.824 0.500 0.816
0.213 0.500 0.200
0.316 0.000 0.692
0.693 0.000 0.312
0.696 0.201 0.290
0.696 0.799 0.290
0.698 0.400 0.298
0.698 0.600 0.298
0.797 0.297 0.778
0.797 0.703 0.778
```

A plane-wave DFT calculation with PBE with a Hubbard U was carried out for a relaxed structure of Fe3O2F4.

Energy relative to the elements (eV per atom): -2.1794
Energy relative to the lowest polymorph listed for this composition (meV per atom): 17.7
Space group: P1, No. 1
V (A^3/atom): 11.934

Geometry as POSCAR:
```
Fe3O2F4
1.0
4.785 0.000 0.000
0.101 5.722 0.000
0.072 0.650 7.845
Fe O F
6 4 8
direct
0.000 0.000 0.000
0.008 0.311 0.632
0.462 0.850 0.678
0.505 0.490 0.988
0.527 0.169 0.327
0.989 0.653 0.330
0.307 0.122 0.554
0.311 0.784 0.897
0.678 0.206 0.092
0.797 0.356 0.432
0.195 0.310 0.875
0.209 0.621 0.569
0.210 0.959 0.239
0.302 0.461 0.222
0.693 0.860 0.438
0.707 0.537 0.756
0.793 0.686 0.092
0.798 0.039 0.751
```

A plane-wave DFT calculation with PBE with a Hubbard U was carried out for a relaxed structure of Fe5O2F8.

Energy relative to the elements (eV per atom): -2.3215
Energy relative to the lowest polymorph listed for this composition (meV per atom): 10.7
Space group: P2_1, No. 4
V (A^3/atom): 12.373

Geometry as POSCAR:
```
Fe5O2F8
1.0
5.753 0.000 0.000
0.000 4.794 0.000
-2.587 0.000 13.458
Fe O F
10 4 16
direct
0.035 0.000 0.396
0.148 0.479 0.197
0.258 0.013 0.011
0.365 0.529 0.789
0.444 0.983 0.600
0.556 0.483 0.400
0.635 0.029 0.211
0.742 0.513 0.989
0.852 0.979 0.803
0.965 0.500 0.604
0.274 0.701 0.670
0.331 0.183 0.133
0.669 0.683 0.867
0.726 0.201 0.330
0.053 0.699 0.051
0.056 0.299 0.761
0.125 0.193 0.539
0.193 0.797 0.878
0.222 0.299 0.336
0.368 0.796 0.453
0.440 0.286 0.942
0.462 0.705 0.253
0.538 0.205 0.747
0.560 0.786 0.058
0.632 0.296 0.547
0.778 0.799 0.664
0.807 0.297 0.122
0.875 0.693 0.461
0.944 0.799 0.239
0.947 0.199 0.949
```

A plane-wave DFT calculation with PBE with a Hubbard U was carried out for a relaxed structure of Fe3O2F4.

Energy relative to the elements (eV per atom): -2.1806
Energy relative to the lowest polymorph listed for this composition (meV per atom): 16.5
Space group: P1, No. 1
V (A^3/atom): 12.017

Geometry as POSCAR:
```
Fe3O2F4
1.0
5.717 0.000 0.000
1.610 5.517 0.000
2.349 1.708 6.858
Fe O F
6 4 8
direct
0.000 0.000 0.000
0.017 0.015 0.500
0.340 0.333 0.666
0.374 0.310 0.169
0.661 0.651 0.813
0.691 0.701 0.340
0.240 0.229 0.457
0.441 0.432 0.880
0.649 0.023 0.170
0.791 0.781 0.535
0.044 0.618 0.174
0.115 0.100 0.204
0.326 0.710 0.490
0.374 0.957 0.841
0.585 0.568 0.132
0.718 0.322 0.487
0.911 0.893 0.790
0.968 0.376 0.835
```

A plane-wave DFT calculation with PBE with a Hubbard U was carried out for a relaxed structure of Fe7O3F13.

Energy relative to the elements (eV per atom): -1.3362
Energy relative to the lowest polymorph listed for this composition (meV per atom): 947.6
Space group: P1, No. 1
V (A^3/atom): 14.590

Geometry as POSCAR:
```
Fe7O3F13
1.0
6.168 0.000 0.000
-2.965 5.444 0.000
-0.104 -3.526 9.994
Fe O F
7 3 13
direct
0.000 0.000 0.000
0.000 0.498 0.004
0.020 0.998 0.489
0.084 0.474 0.669
0.284 0.261 0.235
0.509 0.524 0.492
0.736 0.753 0.735
0.388 0.614 0.626
0.901 0.672 0.611
0.951 0.171 0.106
0.105 0.855 0.889
0.111 0.372 0.867
0.140 0.343 0.364
0.146 0.935 0.360
0.341 0.591 0.114
0.346 0.123 0.112
0.353 0.154 0.590
0.589 0.393 0.356
0.679 0.887 0.395
0.701 0.424 0.872
0.704 0.919 0.866
0.911 0.658 0.103
0.919 0.139 0.617
```

A plane-wave DFT calculation with PBE with a Hubbard U was carried out for a relaxed structure of Fe10O11F9.

Energy relative to the elements (eV per atom): -1.9571
Energy relative to the lowest polymorph listed for this composition (meV per atom): 7.2
Space group: P1, No. 1
V (A^3/atom): 11.478

Geometry as POSCAR:
```
Fe10O11F9
1.0
4.740 0.000 0.000
0.290 4.732 0.000
0.012 0.048 15.352
Fe O F
10 11 9
direct
0.000 0.000 0.000
0.001 0.997 0.389
0.031 0.972 0.788
0.456 0.470 0.686
0.472 0.460 0.298
0.475 0.456 0.089
0.491 0.508 0.898
0.496 0.498 0.492
0.983 0.039 0.194
0.996 0.003 0.595
0.174 0.187 0.296
0.176 0.187 0.095
0.183 0.173 0.691
0.292 0.691 0.993
0.293 0.687 0.586
0.299 0.687 0.398
0.310 0.667 0.792
0.663 0.306 0.195
0.684 0.298 0.588
0.688 0.297 0.400
0.691 0.291 0.989
0.185 0.186 0.493
0.194 0.179 0.890
0.275 0.695 0.196
0.700 0.277 0.792
0.789 0.798 0.097
0.790 0.798 0.294
0.797 0.789 0.693
0.804 0.805 0.493
0.808 0.799 0.889
```

- The highest V belongs to which entry?
  Fe7O3F13

- V of number 8 (Fe3O2F4)?
  11.934 A^3/atom

- Which formula does entry 9 have?
  Fe5O2F8

Repeat the eleventh record exactly.
A plane-wave DFT calculation with PBE with a Hubbard U was carried out for a relaxed structure of Fe7O3F13.

Energy relative to the elements (eV per atom): -1.3362
Energy relative to the lowest polymorph listed for this composition (meV per atom): 947.6
Space group: P1, No. 1
V (A^3/atom): 14.590

Geometry as POSCAR:
```
Fe7O3F13
1.0
6.168 0.000 0.000
-2.965 5.444 0.000
-0.104 -3.526 9.994
Fe O F
7 3 13
direct
0.000 0.000 0.000
0.000 0.498 0.004
0.020 0.998 0.489
0.084 0.474 0.669
0.284 0.261 0.235
0.509 0.524 0.492
0.736 0.753 0.735
0.388 0.614 0.626
0.901 0.672 0.611
0.951 0.171 0.106
0.105 0.855 0.889
0.111 0.372 0.867
0.140 0.343 0.364
0.146 0.935 0.360
0.341 0.591 0.114
0.346 0.123 0.112
0.353 0.154 0.590
0.589 0.393 0.356
0.679 0.887 0.395
0.701 0.424 0.872
0.704 0.919 0.866
0.911 0.658 0.103
0.919 0.139 0.617
```